No. 1
Compound: NbPS
Source: Materials Project
Functional: PBE
Structure: optimized geometry

Values from the calculation:
Crystal system: orthorhombic
Total magnetization, μB/atom: 0.0000
Corrected total energy (MP2020 scheme), eV per atom: -7.52
Formation enthalpy at 0 K, eV per atom: -0.965

POSCAR file:
```
NbPS
1.0
-1.726 2.366 6.037
1.726 -2.366 6.037
1.726 2.366 -6.037
Nb P S
2 2 2
Direct
0.124 0.124 0.000 Nb
0.876 0.876 0.000 Nb
0.264 0.500 0.764 P
0.736 0.500 0.236 P
0.287 0.787 0.500 S
0.713 0.213 0.500 S
```



No. 2
Compound: Ti2CrTe4
Source: Materials Project
Functional: PBE
Structure: optimized geometry

Values from the calculation:
Crystal system: monoclinic
Total magnetization, μB/atom: 0.5780
Corrected total energy (MP2020 scheme), eV per atom: -6.19
Formation enthalpy at 0 K, eV per atom: -0.760

POSCAR file:
```
Ti2CrTe4
1.0
7.083 -1.973 0.000
7.083 1.973 0.000
-3.454 0.000 6.189
Ti Cr Te
2 1 4
Direct
0.000 0.000 0.000 Ti
0.242 0.242 0.273 Ti
0.499 0.499 0.560 Cr
0.133 0.133 0.822 Te
0.361 0.361 0.726 Te
0.611 0.611 0.315 Te
0.876 0.876 0.240 Te
```



No. 3
Compound: TbMgTl2
Source: Materials Project
Functional: PBE
Structure: optimized geometry

Values from the calculation:
Crystal system: cubic
Total magnetization, μB/atom: 0.0005
Formation enthalpy at 0 K, eV per atom: -0.216

POSCAR file:
```
TbMgTl2
1.0
0.000 3.742 3.742
3.742 0.000 3.742
3.742 3.742 0.000
Tb Mg Tl
1 1 2
Direct
0.000 0.000 0.000 Tb
0.500 0.500 0.500 Mg
0.250 0.250 0.250 Tl
0.750 0.750 0.750 Tl
```



No. 4
Compound: TbP2H9O11
Source: Materials Project
Functional: PBE
Structure: optimized geometry

Values from the calculation:
Crystal system: monoclinic
Total magnetization, μB/atom: 0.0000
Corrected total energy (MP2020 scheme), eV per atom: -6.41
Formation enthalpy at 0 K, eV per atom: -2.044

POSCAR file:
```
TbP2H9O11
1.0
6.619 0.000 0.000
0.000 11.508 0.000
-6.341 0.000 11.894
Tb P H O
4 8 36 44
Direct
0.081 0.082 0.335 Tb
0.081 0.418 0.835 Tb
0.919 0.582 0.165 Tb
0.919 0.918 0.665 Tb
0.182 0.634 0.664 P
0.182 0.866 0.164 P
0.391 0.049 0.641 P
0.391 0.451 0.141 P
0.609 0.549 0.859 P
0.609 0.951 0.359 P
0.818 0.134 0.836 P
0.818 0.366 0.336 P
0.053 0.634 0.961 H
0.053 0.866 0.461 H
0.165 0.617 0.419 H
0.165 0.883 0.919 H
0.177 0.741 0.376 H
0.177 0.759 0.876 H
0.200 0.165 0.813 H
0.200 0.335 0.313 H
0.251 0.012 0.071 H
0.251 0.488 0.571 H
0.261 0.208 0.056 H
0.261 0.292 0.556 H
0.318 0.614 0.003 H
0.318 0.886 0.503 H
0.386 0.242 0.799 H
0.386 0.258 0.299 H
0.500 0.142 0.109 H
0.500 0.358 0.609 H
0.500 0.642 0.391 H
0.500 0.858 0.891 H
0.614 0.742 0.701 H
0.614 0.758 0.201 H
0.682 0.114 0.497 H
0.682 0.386 0.997 H
0.739 0.708 0.444 H
0.739 0.792 0.944 H
0.749 0.512 0.429 H
0.749 0.988 0.929 H
0.800 0.665 0.687 H
0.800 0.835 0.187 H
0.823 0.241 0.124 H
0.823 0.259 0.624 H
0.835 0.117 0.081 H
0.835 0.383 0.581 H
0.947 0.134 0.539 H
0.947 0.366 0.039 H
0.038 0.558 0.698 O
0.038 0.942 0.198 O
0.105 0.743 0.131 O
0.105 0.757 0.631 O
0.169 0.622 0.934 O
0.169 0.878 0.434 O
0.182 0.657 0.358 O
0.182 0.843 0.858 O
0.213 0.577 0.565 O
0.213 0.923 0.065 O
0.241 0.119 0.534 O
0.241 0.381 0.034 O
0.253 0.000 0.694 O
0.253 0.500 0.194 O
0.271 0.243 0.825 O
0.271 0.257 0.325 O
0.335 0.133 0.086 O
0.335 0.367 0.586 O
0.437 0.646 0.771 O
0.437 0.854 0.271 O
0.458 0.041 0.377 O
0.458 0.459 0.877 O
0.542 0.541 0.123 O
0.542 0.959 0.623 O
0.563 0.146 0.729 O
0.563 0.354 0.229 O
0.665 0.633 0.414 O
0.665 0.867 0.914 O
0.729 0.743 0.675 O
0.729 0.757 0.175 O
0.747 0.000 0.306 O
0.747 0.500 0.806 O
0.759 0.619 0.966 O
0.759 0.881 0.466 O
0.787 0.077 0.935 O
0.787 0.423 0.435 O
0.818 0.157 0.142 O
0.818 0.343 0.642 O
0.831 0.122 0.566 O
0.831 0.378 0.066 O
0.895 0.243 0.369 O
0.895 0.257 0.869 O
0.962 0.058 0.802 O
0.962 0.442 0.302 O
```